Mn3Co3Sn2O16 | PBE with a Hubbard U | optimized geometry

Calculated values
* SG: Cm, No. 8
* magnetization: 4.00 μB per cell
* formation energy from the elements: -1.548 eV per atom
* E_tot: -6.3432 eV per atom

POSCAR file:
```
Mn3Co3Sn2O16
1.0
4.953 -2.870 0.000
4.953 2.870 0.000
-0.173 0.000 9.424
Mn Co Sn O
3 3 2 16
Direct
0.000 0.000 0.000
0.168 0.665 0.501
0.665 0.168 0.501
0.000 0.498 0.004
0.498 0.000 0.004
0.665 0.665 0.505
0.167 0.167 0.725
0.500 0.500 0.223
0.148 0.672 0.109
0.167 0.167 0.106
0.315 0.315 0.893
0.320 0.865 0.887
0.348 0.348 0.383
0.354 0.800 0.388
0.500 0.500 0.606
0.515 0.988 0.608
0.672 0.148 0.109
0.675 0.675 0.104
0.800 0.354 0.388
0.830 0.830 0.401
0.830 0.830 0.902
0.865 0.320 0.887
0.988 0.515 0.608
0.991 0.991 0.612
```